No. 1
## ZrO2 (PBE-GGA)

Data for a relaxed ZrO2 crystal.

Summary:
- Size of the total moment: 0.0002 μB per atom
- ΔH_f (0 K): -3725 meV per atom

```
data_ZrO2
_cell_length_a 20.084
_cell_length_b 3.287
_cell_length_c 5.048
_cell_angle_alpha 90.00
_cell_angle_beta 90.00
_cell_angle_gamma 90.00
_space_group_name_H-M_alt 'P n m a'
_space_group_IT_number 62
_space_group_name_Hall '-P 2ac 2n'
loop_
_atom_site_label
_atom_site_type_symbol
_atom_site_fract_x
_atom_site_fract_y
_atom_site_fract_z
_atom_site_occupancy
Zr1 Zr 0.069 0.250 0.075 1
Zr2 Zr 0.189 0.750 0.576 1
O1 O 0.013 0.750 0.207 1
O2 O 0.119 0.750 0.884 1
O3 O 0.138 0.250 0.393 1
O4 O 0.239 0.250 0.756 1
```

***

No. 2
## ZrO2 (PBE-GGA)

Data for a relaxed ZrO2 crystal.

Summary:
- Maximum piezoelectric response: 2.72 C/m2
- ΔH_f (0 K): -3792 meV per atom

```
data_ZrO2
_cell_length_a 5.349
_cell_length_b 5.132
_cell_length_c 5.159
_cell_angle_alpha 90.00
_cell_angle_beta 90.00
_cell_angle_gamma 90.00
_space_group_name_H-M_alt 'P c a 21'
_space_group_IT_number 29
_space_group_name_Hall 'P 2c -2ac'
loop_
_atom_site_label
_atom_site_type_symbol
_atom_site_fract_x
_atom_site_fract_y
_atom_site_fract_z
_atom_site_occupancy
Zr1 Zr 0.030 0.234 0.000 1
O1 O 0.136 0.433 0.357 1
O2 O 0.229 0.964 0.753 1
```

***

No. 3
## ZrO2 (PBE-GGA)

Data for a relaxed ZrO2 crystal.

Summary:
- ΔH_f (0 K): -3729 meV per atom

```
data_ZrO2
_cell_length_a 5.902
_cell_length_b 5.440
_cell_length_c 5.075
_cell_angle_alpha 90.00
_cell_angle_beta 90.00
_cell_angle_gamma 90.00
_space_group_name_H-M_alt 'P n m a'
_space_group_IT_number 62
_space_group_name_Hall '-P 2ac 2n'
loop_
_atom_site_label
_atom_site_type_symbol
_atom_site_fract_x
_atom_site_fract_y
_atom_site_fract_z
_atom_site_occupancy
Zr1 Zr 0.143 0.250 0.082 1
O1 O 0.118 0.514 0.779 1
```

***

No. 4
## ZrO2 (PBE-GGA)

Data for a relaxed ZrO2 crystal.

Summary:
- ΔH_f (0 K): -3814 meV per atom

```
data_ZrO2
_cell_length_a 5.234
_cell_length_b 5.268
_cell_length_c 5.418
_cell_angle_alpha 90.00
_cell_angle_beta 100.05
_cell_angle_gamma 90.00
_space_group_name_H-M_alt 'P 1 21/c 1'
_space_group_IT_number 14
_space_group_name_Hall '-P 2ybc'
loop_
_atom_site_label
_atom_site_type_symbol
_atom_site_fract_x
_atom_site_fract_y
_atom_site_fract_z
_atom_site_occupancy
Zr1 Zr 0.224 0.044 0.290 1
O1 O 0.047 0.744 0.522 1
O2 O 0.439 0.180 0.645 1
```

***

No. 5
## ZrO2 (PBE-GGA)

Data for a relaxed ZrO2 crystal.

Summary:
- Size of the total moment: 0.0000 μB per atom
- ΔH_f (0 K): -3591 meV per atom

```
data_ZrO2
_cell_length_a 9.986
_cell_length_b 10.437
_cell_length_c 11.272
_cell_angle_alpha 95.44
_cell_angle_beta 91.07
_cell_angle_gamma 93.91
_space_group_name_H-M_alt 'P 1'
_space_group_IT_number 1
_space_group_name_Hall 'P 1'
loop_
_atom_site_label
_atom_site_type_symbol
_atom_site_fract_x
_atom_site_fract_y
_atom_site_fract_z
_atom_site_occupancy
Zr1 Zr 0.000 0.000 0.000 1
Zr2 Zr 0.005 0.922 0.700 1
Zr3 Zr 0.087 0.549 0.706 1
Zr4 Zr 0.110 0.570 0.308 1
Zr5 Zr 0.122 0.202 0.237 1
Zr6 Zr 0.166 0.155 0.550 1
Zr7 Zr 0.176 0.582 0.002 1
Zr8 Zr 0.225 0.879 0.204 1
Zr9 Zr 0.254 0.778 0.526 1
Zr10 Zr 0.297 0.854 0.873 1
Zr11 Zr 0.355 0.334 0.762 1
Zr12 Zr 0.379 0.154 0.016 1
Zr13 Zr 0.418 0.428 0.145 1
Zr14 Zr 0.463 0.548 0.486 1
Zr15 Zr 0.473 0.234 0.373 1
Zr16 Zr 0.507 0.041 0.654 1
Zr17 Zr 0.513 0.690 0.743 1
Zr18 Zr 0.525 0.757 0.056 1
Zr19 Zr 0.592 0.876 0.333 1
Zr20 Zr 0.656 0.384 0.929 1
Zr21 Zr 0.672 0.003 0.910 1
Zr22 Zr 0.680 0.543 0.288 1
Zr23 Zr 0.706 0.408 0.636 1
Zr24 Zr 0.719 0.223 0.151 1
Zr25 Zr 0.825 0.057 0.511 1
Zr26 Zr 0.834 0.706 0.868 1
Zr27 Zr 0.865 0.670 0.516 1
Zr28 Zr 0.883 0.846 0.216 1
Zr29 Zr 0.897 0.335 0.397 1
Zr30 Zr 0.976 0.350 0.919 1
O1 O 0.002 0.164 0.429 1
O2 O 0.004 0.584 0.870 1
O3 O 0.030 0.471 0.066 1
O4 O 0.032 0.995 0.201 1
O5 O 0.038 0.177 0.951 1
O6 O 0.063 0.743 0.230 1
O7 O 0.064 0.689 0.474 1
O8 O 0.103 0.381 0.338 1
O9 O 0.123 0.936 0.859 1
O10 O 0.179 0.333 0.641 1
O11 O 0.184 0.954 0.605 1
O12 O 0.193 0.446 0.851 1
O13 O 0.207 0.780 0.027 1
O14 O 0.217 0.711 0.713 1
O15 O 0.229 0.039 0.096 1
O16 O 0.248 0.291 0.122 1
O17 O 0.262 0.181 0.374 1
O18 O 0.262 0.561 0.168 1
O19 O 0.270 0.874 0.382 1
O20 O 0.275 0.588 0.431 1
O21 O 0.339 0.160 0.838 1
O22 O 0.374 0.168 0.603 1
O23 O 0.396 0.681 0.902 1
O24 O 0.416 0.521 0.679 1
O25 O 0.426 0.844 0.195 1
O26 O 0.437 0.377 0.962 1
O27 O 0.445 0.893 0.749 1
O28 O 0.453 0.735 0.574 1
O29 O 0.453 0.954 0.980 1
O30 O 0.476 0.439 0.322 1
O31 O 0.482 0.226 0.182 1
O32 O 0.523 0.057 0.346 1
O33 O 0.525 0.358 0.525 1
O34 O 0.533 0.601 0.141 1
O35 O 0.548 0.685 0.368 1
O36 O 0.566 0.343 0.759 1
O37 O 0.591 0.174 0.986 1
O38 O 0.624 0.968 0.526 1
O39 O 0.642 0.800 0.894 1
O40 O 0.652 0.411 0.130 1
O41 O 0.666 0.089 0.757 1
O42 O 0.681 0.836 0.162 1
O43 O 0.693 0.538 0.481 1
O44 O 0.698 0.622 0.705 1
O45 O 0.701 0.313 0.325 1
O46 O 0.712 0.574 0.943 1
O47 O 0.777 0.250 0.537 1
O48 O 0.791 0.985 0.338 1
O49 O 0.796 0.729 0.340 1
O50 O 0.801 0.048 0.055 1
O51 O 0.814 0.299 0.006 1
O52 O 0.824 0.377 0.793 1
O53 O 0.865 0.932 0.842 1
O54 O 0.868 0.872 0.557 1
O55 O 0.896 0.520 0.332 1
O56 O 0.911 0.803 0.030 1
O57 O 0.916 0.240 0.222 1
O58 O 0.929 0.482 0.578 1
O59 O 0.951 0.715 0.701 1
O60 O 0.983 0.101 0.645 1
```

***

No. 6
## ZrO2 (PBE-GGA)

Data for a relaxed ZrO2 crystal.

Summary:
- ΔH_f (0 K): -3763 meV per atom

```
data_ZrO2
_cell_length_a 4.957
_cell_length_b 5.916
_cell_length_c 16.317
_cell_angle_alpha 90.00
_cell_angle_beta 90.00
_cell_angle_gamma 90.00
_space_group_name_H-M_alt 'P b c n'
_space_group_IT_number 60
_space_group_name_Hall '-P 2n 2ab'
loop_
_atom_site_label
_atom_site_type_symbol
_atom_site_fract_x
_atom_site_fract_y
_atom_site_fract_z
_atom_site_occupancy
Zr1 Zr 0.000 0.017 0.250 1
Zr2 Zr 0.002 0.346 0.084 1
O1 O 0.203 0.371 0.530 1
O2 O 0.209 0.068 0.363 1
O3 O 0.219 0.306 0.196 1
```

***

No. 7
## ZrO2 (PBE-GGA)

Data for a relaxed ZrO2 crystal.

Summary:
- Size of the total moment: 0.0000 μB per atom
- ΔH_f (0 K): -3711 meV per atom

```
data_ZrO2
_cell_length_a 5.633
_cell_length_b 3.388
_cell_length_c 6.589
_cell_angle_alpha 90.00
_cell_angle_beta 90.00
_cell_angle_gamma 90.00
_space_group_name_H-M_alt 'P n m a'
_space_group_IT_number 62
_space_group_name_Hall '-P 2ac 2n'
loop_
_atom_site_label
_atom_site_type_symbol
_atom_site_fract_x
_atom_site_fract_y
_atom_site_fract_z
_atom_site_occupancy
Zr1 Zr 0.248 0.250 0.108 1
O1 O 0.022 0.750 0.341 1
O2 O 0.139 0.750 0.923 1
```

***

No. 8
## ZrO2 (PBE-GGA)

Data for a relaxed ZrO2 crystal.

Summary:
- ΔH_f (0 K): -3773 meV per atom

```
data_ZrO2
_cell_length_a 5.665
_cell_length_b 10.051
_cell_length_c 5.865
_cell_angle_alpha 90.00
_cell_angle_beta 90.00
_cell_angle_gamma 90.00
_space_group_name_H-M_alt 'P b c a'
_space_group_IT_number 61
_space_group_name_Hall '-P 2ac 2ab'
loop_
_atom_site_label
_atom_site_type_symbol
_atom_site_fract_x
_atom_site_fract_y
_atom_site_fract_z
_atom_site_occupancy
Zr1 Zr 0.143 0.130 0.099 1
O1 O 0.029 0.731 0.119 1
O2 O 0.174 0.515 0.350 1
```

***

No. 9
## ZrO2 (PBE-GGA)

Data for a relaxed ZrO2 crystal.

Summary:
- ΔH_f (0 K): -3763 meV per atom

```
data_ZrO2
_cell_length_a 4.934
_cell_length_b 4.934
_cell_length_c 3.283
_cell_angle_alpha 90.00
_cell_angle_beta 90.00
_cell_angle_gamma 90.00
_space_group_name_H-M_alt 'P 42/m n m'
_space_group_IT_number 136
_space_group_name_Hall '-P 4n 2n'
loop_
_atom_site_label
_atom_site_type_symbol
_atom_site_fract_x
_atom_site_fract_y
_atom_site_fract_z
_atom_site_occupancy
Zr1 Zr 0.000 0.000 0.000 1
O1 O 0.195 0.195 0.500 1
```

***

No. 10
## Zr6O11 (PBE-GGA)

Data for a relaxed Zr6O11 crystal.

Summary:
- Size of the total moment: 0.0000 μB per atom
- ΔH_f (0 K): -3623 meV per atom

```
data_Zr6O11
_cell_length_a 3.634
_cell_length_b 3.637
_cell_length_c 15.778
_cell_angle_alpha 90.00
_cell_angle_beta 90.00
_cell_angle_gamma 90.00
_space_group_name_H-M_alt 'P m m 2'
_space_group_IT_number 25
_space_group_name_Hall 'P 2 -2'
loop_
_atom_site_label
_atom_site_type_symbol
_atom_site_fract_x
_atom_site_fract_y
_atom_site_fract_z
_atom_site_occupancy
Zr1 Zr 0.000 0.000 0.000 1
Zr2 Zr 0.000 0.000 0.330 1
Zr3 Zr 0.000 0.000 0.665 1
Zr4 Zr 0.500 0.500 0.166 1
Zr5 Zr 0.500 0.500 0.498 1
Zr6 Zr 0.500 0.500 0.833 1
O1 O 0.000 0.500 0.067 1
O2 O 0.000 0.500 0.393 1
O3 O 0.000 0.500 0.563 1
O4 O 0.000 0.500 0.732 1
O5 O 0.000 0.500 0.899 1
O6 O 0.500 0.000 0.099 1
O7 O 0.500 0.000 0.263 1
O8 O 0.500 0.000 0.432 1
O9 O 0.500 0.000 0.599 1
O10 O 0.500 0.000 0.766 1
O11 O 0.500 0.000 0.933 1
```

***

No. 11
## ZrO2 (PBE-GGA)

Data for a relaxed ZrO2 crystal.

Summary:
- ΔH_f (0 K): -3805 meV per atom

```
data_ZrO2
_cell_length_a 5.288
_cell_length_b 5.373
_cell_length_c 10.341
_cell_angle_alpha 90.00
_cell_angle_beta 90.00
_cell_angle_gamma 90.00
_space_group_name_H-M_alt 'P b c a'
_space_group_IT_number 61
_space_group_name_Hall '-P 2ac 2ab'
loop_
_atom_site_label
_atom_site_type_symbol
_atom_site_fract_x
_atom_site_fract_y
_atom_site_fract_z
_atom_site_occupancy
Zr1 Zr 0.041 0.159 0.138 1
O1 O 0.165 0.670 0.534 1
O2 O 0.249 0.087 0.775 1
```

***

No. 12
## ZrO2 (PBE-GGA)

Data for a relaxed ZrO2 crystal.

Summary:
- ΔH_f (0 K): -3799 meV per atom

```
data_ZrO2
_cell_length_a 4.063
_cell_length_b 4.063
_cell_length_c 10.785
_cell_angle_alpha 90.00
_cell_angle_beta 90.00
_cell_angle_gamma 90.00
_space_group_name_H-M_alt 'I 41/a m d'
_space_group_IT_number 141
loop_
_space_group_symop_operation_xyz
'x,y,z'
'-x,-y,-z'
'-y+1/4,x+3/4,z+1/4'
'y+1/4,-x+3/4,-z+1/4'
'-x+1/2,-y,z+1/2'
'x+1/2,y,-z+1/2'
'y+1/4,-x+1/4,z+3/4'
'-y+1/4,x+1/4,-z+3/4'
'x,-y,-z'
'-x,y,z'
'-y+1/4,-x+1/4,-z+3/4'
'y+1/4,x+1/4,z+3/4'
'-x+1/2,y,-z+1/2'
'x+1/2,-y,z+1/2'
'y+1/4,x+3/4,-z+1/4'
'-y+1/4,-x+3/4,z+1/4'
'x+1/2,y+1/2,z+1/2'
'-x+1/2,-y+1/2,-z+1/2'
'-y+3/4,x+1/4,z+3/4'
'y+3/4,-x+1/4,-z+3/4'
'-x,-y+1/2,z'
'x,y+1/2,-z'
'y+3/4,-x+3/4,z+1/4'
'-y+3/4,x+3/4,-z+1/4'
'x+1/2,-y+1/2,-z+1/2'
'-x+1/2,y+1/2,z+1/2'
'-y+3/4,-x+3/4,-z+1/4'
'y+3/4,x+3/4,z+1/4'
'-x,y+1/2,-z'
'x,-y+1/2,z'
'y+3/4,x+1/4,-z+3/4'
'-y+3/4,-x+1/4,z+3/4'
loop_
_atom_site_label
_atom_site_type_symbol
_atom_site_fract_x
_atom_site_fract_y
_atom_site_fract_z
_atom_site_occupancy
Zr1 Zr 0.000 0.250 0.375 1
O1 O 0.000 0.250 0.173 1
```

***

No. 13
## ZrO2 (PBE-GGA)

Data for a relaxed ZrO2 crystal.

Summary:
- ΔH_f (0 K): -3758 meV per atom

```
data_ZrO2
_cell_length_a 8.172
_cell_length_b 8.172
_cell_length_c 5.097
_cell_angle_alpha 90.00
_cell_angle_beta 90.00
_cell_angle_gamma 90.00
_space_group_name_H-M_alt 'P 4/n'
_space_group_IT_number 85
loop_
_space_group_symop_operation_xyz
'x,y,z'
'-x,-y,-z'
'-y+1/2,x,z'
'y+1/2,-x,-z'
'-x+1/2,-y+1/2,z'
'x+1/2,y+1/2,-z'
'y,-x+1/2,z'
'-y,x+1/2,-z'
loop_
_atom_site_label
_atom_site_type_symbol
_atom_site_fract_x
_atom_site_fract_y
_atom_site_fract_z
_atom_site_occupancy
Zr1 Zr 0.076 0.617 0.246 1
Zr2 Zr 0.250 0.250 0.181 1
O1 O 0.043 0.161 0.924 1
O2 O 0.045 0.360 0.387 1
O3 O 0.250 0.750 0.000 1
O4 O 0.250 0.750 0.500 1
```

***

No. 14
## ZrO2 (PBE-GGA)

Data for a relaxed ZrO2 crystal.

Summary:
- ΔH_f (0 K): -3745 meV per atom

```
data_ZrO2
_cell_length_a 5.150
_cell_length_b 5.150
_cell_length_c 5.150
_cell_angle_alpha 90.00
_cell_angle_beta 90.00
_cell_angle_gamma 90.00
_space_group_name_H-M_alt 'F m -3 m'
_space_group_IT_number 225
_space_group_name_Hall '-F 4 2 3'
loop_
_atom_site_label
_atom_site_type_symbol
_atom_site_fract_x
_atom_site_fract_y
_atom_site_fract_z
_atom_site_occupancy
Zr1 Zr 0.000 0.000 0.000 1
O1 O 0.250 0.250 0.250 1
```

***

No. 15
## ZrO2 (PBE-GGA)

Data for a relaxed ZrO2 crystal.

Summary:
- ΔH_f (0 K): -3762 meV per atom

```
data_ZrO2
_cell_length_a 13.390
_cell_length_b 4.043
_cell_length_c 7.118
_cell_angle_alpha 90.00
_cell_angle_beta 106.56
_cell_angle_gamma 90.00
_space_group_name_H-M_alt 'C 1 2/m 1'
_space_group_IT_number 12
_space_group_name_Hall '-C 2y'
loop_
_atom_site_label
_atom_site_type_symbol
_atom_site_fract_x
_atom_site_fract_y
_atom_site_fract_z
_atom_site_occupancy
Zr1 Zr 0.100 0.000 0.210 1
Zr2 Zr 0.195 0.000 0.787 1
O1 O 0.060 0.000 0.878 1
O2 O 0.132 0.000 0.504 1
O3 O 0.142 0.500 0.206 1
O4 O 0.241 0.500 0.854 1
```

***

Listing final energy for the structures above in their given order: -9.4152, -9.4820, -9.4193, -9.5035, -9.2808, -9.4526, -9.4004, -9.4630, -9.4530, -9.3970, -9.4947, -9.4886, -9.4484, -9.4346, -9.4518 eV/atom.